A plane-wave DFT calculation with PBE was carried out for CsMg14Zn after structural relaxation.

```
CsMg14Zn
1.0
-5.823 -1.413 2.620
2.467 -3.791 -4.725
4.811 -6.098 7.404
Mg Cs Zn
14 1 1
direct
0.172 0.836 0.625
0.336 0.673 0.351
0.336 0.673 0.899
0.336 0.164 0.899
0.833 0.667 0.378
0.664 0.836 0.625
0.160 0.830 0.125
0.664 0.328 0.625
0.827 0.164 0.351
0.336 0.164 0.351
0.827 0.164 0.899
0.833 0.667 0.872
0.670 0.340 0.125
0.670 0.830 0.125
0.167 0.333 0.625
0.167 0.333 0.125
```

total DFT energy (no corrections)	-21.7	eV/cell


A plane-wave DFT calculation with PBE was carried out for Li2BiBO4 after structural relaxation.

```
Li2BiBO4
1.0
4.939 0.000 0.000
0.000 6.672 0.000
0.000 0.000 10.505
B O Li Bi
4 16 8 4
direct
0.171 0.750 0.846
0.671 0.250 0.654
0.829 0.250 0.154
0.329 0.750 0.346
0.208 0.750 0.699
0.865 0.750 0.866
0.135 0.250 0.134
0.365 0.250 0.634
0.795 0.070 0.597
0.705 0.070 0.097
0.292 0.750 0.199
0.705 0.430 0.097
0.295 0.930 0.903
0.205 0.570 0.403
0.295 0.570 0.903
0.635 0.750 0.366
0.792 0.250 0.301
0.795 0.430 0.597
0.708 0.250 0.801
0.205 0.930 0.403
0.317 0.999 0.083
0.683 0.001 0.917
0.183 0.501 0.583
0.317 0.501 0.083
0.683 0.499 0.917
0.817 0.001 0.417
0.183 0.999 0.583
0.817 0.499 0.417
0.694 0.750 0.671
0.306 0.250 0.329
0.806 0.750 0.171
0.194 0.250 0.829
```

total DFT energy (no corrections)	-196.9	eV/cell


A plane-wave DFT calculation with PBE was carried out for Zn3N2 after structural relaxation.

```
Zn3N2
1.0
-1.656 2.954 0.383
-4.104 -1.801 -3.846
-6.389 -4.754 9.043
N Zn
8 12
direct
0.750 0.750 0.500
0.250 0.250 0.000
0.750 0.750 0.000
0.250 0.916 0.750
0.750 0.416 0.750
0.250 0.584 0.250
0.750 0.084 0.250
0.250 0.250 0.500
0.750 0.083 0.421
0.750 0.750 0.750
0.250 0.250 0.750
0.250 0.917 0.579
0.750 0.750 0.250
0.250 0.583 0.421
0.750 0.083 0.079
0.250 0.583 0.079
0.750 0.417 0.921
0.750 0.417 0.579
0.250 0.917 0.921
0.250 0.250 0.250
```

total DFT energy (no corrections)	-79.4	eV/cell


Formation energy from the elements per entry: 0.18; -2.22; -0.02 eV/atom
Excess energy over the best structure of this formula in the dataset per entry: 18; 25; 4 kJ/mol of formula units
Calculated volume per entry: 24.8; 10.8; 12.1 Å³/atom